Entry 1:
Below is an optimized crystal structure of Er3Ge13Ru4, with properties calculated at the PBE level.

```
data_Er3Ge13Ru4
_symmetry_space_group_name_H-M 'P m -3 n'
_symmetry_Int_Tables_number 223
_symmetry_space_group_name_Hall '-P 4n 2 3'
_cell_length_a 9.045
_cell_length_b 9.045
_cell_length_c 9.045
_cell_angle_alpha 90.00
_cell_angle_beta 90.00
_cell_angle_gamma 90.00
loop_
_atom_site_label
_atom_site_type_symbol
_atom_site_fract_x
_atom_site_fract_y
_atom_site_fract_z
Er1 Er 0.000 0.250 0.500
Ge1 Ge 0.000 0.000 0.000
Ge2 Ge 0.000 0.307 0.149
Ru1 Ru 0.250 0.250 0.250
```

---

Entry 2:
Below is an optimized crystal structure of ErGeRu, with properties calculated at the PBE level.

```
data_ErGeRu
_symmetry_space_group_name_H-M 'P n m a'
_symmetry_Int_Tables_number 62
_cell_length_a 6.998
_cell_length_b 4.396
_cell_length_c 7.257
_cell_angle_alpha 90.00
_cell_angle_beta 90.00
_cell_angle_gamma 90.00
loop_
_symmetry_equiv_pos_as_xyz
'x,y,z'
'-x,-y,-z'
'-x+1/2,-y,z+1/2'
'x+1/2,y,-z+1/2'
'x+1/2,-y+1/2,-z+1/2'
'-x+1/2,y+1/2,z+1/2'
'-x,y+1/2,-z'
'x,-y+1/2,z'
loop_
_atom_site_label
_atom_site_type_symbol
_atom_site_fract_x
_atom_site_fract_y
_atom_site_fract_z
Er1 Er 0.012 0.250 0.192
Ge1 Ge 0.204 0.250 0.607
Ru1 Ru 0.156 0.750 0.437
```

---

Entry 3:
Below is an optimized crystal structure of Er3Ge3Ru2, with properties calculated at the PBE level.

```
data_Er3Ge3Ru2
_symmetry_space_group_name_H-M 'C m c m'
_symmetry_Int_Tables_number 63
_symmetry_space_group_name_Hall '-C 2c 2'
_cell_length_a 4.246
_cell_length_b 10.753
_cell_length_c 13.860
_cell_angle_alpha 90.00
_cell_angle_beta 90.00
_cell_angle_gamma 90.00
loop_
_atom_site_label
_atom_site_type_symbol
_atom_site_fract_x
_atom_site_fract_y
_atom_site_fract_z
Er1 Er 0.000 0.077 0.114
Er2 Er 0.000 0.354 0.250
Ge1 Ge 0.000 0.338 0.750
Ge2 Ge 0.000 0.385 0.040
Ru1 Ru 0.000 0.213 0.583
```

---

Entry 4:
Below is an optimized crystal structure of Er2Ge2Ru, with properties calculated at the PBE level.

```
data_Er2Ge2Ru
_symmetry_space_group_name_H-M 'C 1 2/m 1'
_symmetry_Int_Tables_number 12
_cell_length_a 10.676
_cell_length_b 4.287
_cell_length_c 10.119
_cell_angle_alpha 90.00
_cell_angle_beta 118.11
_cell_angle_gamma 90.00
loop_
_symmetry_equiv_pos_as_xyz
'x,y,z'
'-x,-y,-z'
'-x,y,-z'
'x,-y,z'
'x+1/2,y+1/2,z'
'-x+1/2,-y+1/2,-z'
'-x+1/2,y+1/2,-z'
'x+1/2,-y+1/2,z'
loop_
_atom_site_label
_atom_site_type_symbol
_atom_site_fract_x
_atom_site_fract_y
_atom_site_fract_z
Er1 Er 0.001 0.000 0.328
Er2 Er 0.184 0.000 0.109
Ge1 Ge 0.012 0.500 0.876
Ge2 Ge 0.145 0.500 0.568
Ru1 Ru 0.229 0.500 0.372
```

---

Entry 5:
Below is an optimized crystal structure of Er2Ge5Ru3, with properties calculated at the PBE level.

```
data_Er2Ge5Ru3
_symmetry_space_group_name_H-M 'I b a m'
_symmetry_Int_Tables_number 72
_symmetry_space_group_name_Hall '-I 2 2c'
_cell_length_a 9.833
_cell_length_b 12.458
_cell_length_c 5.751
_cell_angle_alpha 90.00
_cell_angle_beta 90.00
_cell_angle_gamma 90.00
loop_
_atom_site_label
_atom_site_type_symbol
_atom_site_fract_x
_atom_site_fract_y
_atom_site_fract_z
Er1 Er 0.232 0.138 0.000
Ge1 Ge 0.000 0.000 0.250
Ge2 Ge 0.000 0.292 0.250
Ge3 Ge 0.175 0.411 0.000
Ru1 Ru 0.000 0.500 0.250
Ru2 Ru 0.093 0.147 0.500
```

---

Entry 6:
Below is an optimized crystal structure of Er2Ge2S7, with properties calculated at the PBE level.

```
data_Er2Ge2S7
_symmetry_space_group_name_H-M 'P 1 21 1'
_symmetry_Int_Tables_number 4
_cell_length_a 9.537
_cell_length_b 6.213
_cell_length_c 9.595
_cell_angle_alpha 90.00
_cell_angle_beta 118.16
_cell_angle_gamma 90.00
loop_
_symmetry_equiv_pos_as_xyz
'x,y,z'
'-x,y+1/2,-z'
loop_
_atom_site_label
_atom_site_type_symbol
_atom_site_fract_x
_atom_site_fract_y
_atom_site_fract_z
Er1 Er 0.102 0.000 0.276
Er2 Er 0.352 0.501 0.107
Ge1 Ge 0.168 0.930 0.831
Ge2 Ge 0.492 0.311 0.491
S1 S 0.011 0.791 0.598
S2 S 0.075 0.766 0.983
S3 S 0.175 0.288 0.829
S4 S 0.279 0.605 0.363
S5 S 0.365 0.071 0.593
S6 S 0.380 0.112 0.261
S7 S 0.416 0.804 0.947
```

---

Entry 7:
Below is an optimized crystal structure of Er9Ge4S21, with properties calculated at the PBE level.

```
data_Er9Ge4S21
_symmetry_space_group_name_H-M 'R 3'
_symmetry_Int_Tables_number 146
_symmetry_space_group_name_Hall 'R 3'
_cell_length_a 16.7882
_cell_length_b 16.7882
_cell_length_c 17.7400
_cell_angle_alpha 90.00
_cell_angle_beta 90.00
_cell_angle_gamma 120.00
loop_
_atom_site_label
_atom_site_type_symbol
_atom_site_fract_x
_atom_site_fract_y
_atom_site_fract_z
Er1 Er 0.0235 0.8377 0.0000
Er2 Er 0.0241 0.8300 0.3372
Er3 Er 0.0247 0.8297 0.6623
Er4 Er 0.1634 0.4724 0.5037
Er5 Er 0.1630 0.4717 0.8292
Er6 Er 0.1709 0.4811 0.1667
Ge1 Ge 0.0000 0.0000 0.2308
Ge2 Ge 0.0000 0.0000 0.7307
Ge3 Ge 0.9999 0.3327 0.0246
Ge4 Ge 0.9999 0.6660 0.8579
S1 S 0.0022 0.3345 0.2328
S2 S 0.0020 0.6674 0.7328
S3 S 0.0140 0.4606 0.7453
S4 S 0.0137 0.8827 0.8069
S5 S 0.0150 0.8792 0.4785
S6 S 0.0156 0.8807 0.1483
S7 S 0.0175 0.4621 0.4124
S8 S 0.0183 0.4616 0.0786
S9 S 0.1268 0.7794 0.9121
S10 S 0.1281 0.7787 0.2461
S11 S 0.1293 0.7767 0.5781
S12 S 0.1311 0.0139 0.3069
S13 S 0.1348 0.0156 0.6483
S14 S 0.1358 0.0150 0.9784
```

---

Entry 8:
Below is an optimized crystal structure of Er4Zn5Ge6, with properties calculated at the PBE level.

```
data_Er4Zn5Ge6
_symmetry_space_group_name_H-M 'C m c 21'
_symmetry_Int_Tables_number 36
_cell_length_a 4.231
_cell_length_b 18.645
_cell_length_c 15.267
_cell_angle_alpha 90.00
_cell_angle_beta 90.00
_cell_angle_gamma 90.00
loop_
_symmetry_equiv_pos_as_xyz
'x,y,z'
'-x,-y,z+1/2'
'-x,y,z'
'x,-y,z+1/2'
'x+1/2,y+1/2,z'
'-x+1/2,-y+1/2,z+1/2'
'-x+1/2,y+1/2,z'
'x+1/2,-y+1/2,z+1/2'
loop_
_atom_site_label
_atom_site_type_symbol
_atom_site_fract_x
_atom_site_fract_y
_atom_site_fract_z
Er1 Er 0.000 0.018 0.000
Er2 Er 0.000 0.033 0.264
Er3 Er 0.000 0.167 0.804
Er4 Er 0.000 0.175 0.445
Zn1 Zn 0.000 0.152 0.127
Zn2 Zn 0.000 0.301 0.124
Zn3 Zn 0.000 0.344 0.773
Zn4 Zn 0.000 0.350 0.481
Zn5 Zn 0.000 0.435 0.185
Ge1 Ge 0.000 0.113 0.617
Ge2 Ge 0.000 0.224 0.985
Ge3 Ge 0.000 0.229 0.266
Ge4 Ge 0.000 0.431 0.907
Ge5 Ge 0.000 0.433 0.629
Ge6 Ge 0.000 0.440 0.354
```

---

Entry 9:
Below is an optimized crystal structure of ErZnGe, with properties calculated at the PBE level.

```
data_ErZnGe
_symmetry_space_group_name_H-M 'P 63/m m c'
_symmetry_Int_Tables_number 194
_symmetry_space_group_name_Hall '-P 6c 2c'
_cell_length_a 4.2326
_cell_length_b 4.2326
_cell_length_c 15.3072
_cell_angle_alpha 90.00
_cell_angle_beta 90.00
_cell_angle_gamma 120.00
loop_
_atom_site_label
_atom_site_type_symbol
_atom_site_fract_x
_atom_site_fract_y
_atom_site_fract_z
Er1 Er 0.0000 0.0000 0.0000
Er2 Er 0.0000 0.0000 0.2500
Zn1 Zn 0.3333 0.6667 0.1476
Ge1 Ge 0.3333 0.6667 0.6120
```

---

Entry 10:
Below is an optimized crystal structure of ErH4I3O11, with properties calculated at the PBE level.

```
data_ErH4I3O11
_symmetry_space_group_name_H-M 'P -1'
_symmetry_Int_Tables_number 2
_cell_length_a 7.374
_cell_length_b 7.599
_cell_length_c 9.442
_cell_angle_alpha 80.18
_cell_angle_beta 85.26
_cell_angle_gamma 72.06
loop_
_symmetry_equiv_pos_as_xyz
'x,y,z'
'-x,-y,-z'
loop_
_atom_site_label
_atom_site_type_symbol
_atom_site_fract_x
_atom_site_fract_y
_atom_site_fract_z
Er1 Er 0.230 0.162 0.172
H1 H 0.018 0.568 0.132
H2 H 0.193 0.545 0.233
H3 H 0.310 0.298 0.447
H4 H 0.329 0.081 0.473
I1 I 0.168 0.761 0.481
I2 I 0.236 0.899 0.866
I3 I 0.402 0.337 0.800
O1 O 0.077 0.975 0.347
O2 O 0.104 0.730 0.861
O3 O 0.135 0.479 0.175
O4 O 0.197 0.924 0.058
O5 O 0.214 0.282 0.928
O6 O 0.255 0.427 0.644
O7 O 0.271 0.202 0.411
O8 O 0.317 0.610 0.355
O9 O 0.340 0.831 0.568
O10 O 0.480 0.739 0.884
O11 O 0.497 0.908 0.231
```

---

Entry 11:
# KErP4H4O18 PBE optimized geometry
# polymorph energy (0 for the lowest one)	0.0000	eV/atom
data_KErP4H4O18
_symmetry_space_group_name_H-M 'C 1 2/c 1'
_symmetry_Int_Tables_number 15
_cell_length_a 8.917
_cell_length_b 11.855
_cell_length_c 15.118
_cell_angle_alpha 90.00
_cell_angle_beta 92.75
_cell_angle_gamma 90.00
loop_
_symmetry_equiv_pos_as_xyz
'x,y,z'
'-x,-y,-z'
'-x,y,-z+1/2'
'x,-y,z+1/2'
'x+1/2,y+1/2,z'
'-x+1/2,-y+1/2,-z'
'-x+1/2,y+1/2,-z+1/2'
'x+1/2,-y+1/2,z+1/2'
loop_
_atom_site_label
_atom_site_type_symbol
_atom_site_fract_x
_atom_site_fract_y
_atom_site_fract_z
K1 K 0.000 0.018 0.250
Er1 Er 0.000 0.421 0.750
P1 P 0.105 0.377 0.413
P2 P 0.202 0.482 0.073
H1 H 0.109 0.169 0.087
H2 H 0.133 0.158 0.892
O1 O 0.059 0.407 0.050
O2 O 0.081 0.246 0.830
O3 O 0.085 0.339 0.882
O4 O 0.100 0.184 0.151
O5 O 0.128 0.253 0.416
O6 O 0.129 0.444 0.331
O7 O 0.158 0.092 0.938
O8 O 0.194 0.464 0.662
O9 O 0.211 0.432 0.494

---

no.,ΔH_f (0 K) (meV per atom)
1,-433.3
2,-732.8
3,-783.6
4,-801.3
5,-623.7
6,-1307.3
7,-1748.0
8,-534.8
9,-646.3
10,-1414.4
11,-1991.4